# 1
Material: Cr2CuN4O8
Method: DFT, PBE with a Hubbard U
State: optimized geometry

Cell: 6.027 7.171 7.919 Å, 110.25 91.91 107.58°
Fractional positions:
1 Cr 0.189 0.286 0.212
2 Cr 0.811 0.714 0.788
3 Cu 0.500 0.000 0.000
4 N 0.145 0.351 0.736
5 N 0.468 0.006 0.762
6 N 0.532 0.994 0.238
7 N 0.855 0.649 0.264
8 O 0.056 0.760 0.924
9 O 0.119 0.147 0.340
10 O 0.283 0.536 0.343
11 O 0.408 0.229 0.086
12 O 0.592 0.771 0.914
13 O 0.717 0.464 0.657
14 O 0.881 0.853 0.660
15 O 0.944 0.240 0.076

Properties
SG: No. 2
Energy relative to the elements: 0.5254 eV/atom

***

# 2
Material: MnCdO2
Method: DFT, PBE with a Hubbard U
State: optimized geometry

Cell: 4.661 4.661 5.709 Å, 65.91 65.91 90.00°
Fractional positions:
1 Mn 0.500 0.500 0.000
2 Mn 0.000 0.000 0.000
3 Cd 0.250 0.750 0.500
4 Cd 0.750 0.250 0.500
5 O 0.500 0.000 0.000
6 O 0.000 0.500 0.000
7 O 0.250 0.250 0.500
8 O 0.750 0.750 0.500

Properties
Energy relative to the elements: -1.6247 eV/atom

***

# 3
Material: Li4Mn3OF11
Method: DFT, PBE with a Hubbard U
State: optimized geometry

Cell: 5.925 6.014 6.077 Å, 98.30 97.22 97.68°
Fractional positions:
1 Li 0.000 0.000 0.000
2 Li 0.108 0.319 0.475
3 Li 0.237 0.582 0.082
4 Li 0.840 0.727 0.355
5 Mn 0.375 0.943 0.671
6 Mn 0.533 0.200 0.166
7 Mn 0.646 0.489 0.776
8 O 0.603 0.198 0.871
9 F 0.101 0.066 0.688
10 F 0.168 0.283 0.157
11 F 0.204 0.738 0.420
12 F 0.326 0.498 0.754
13 F 0.331 0.900 0.012
14 F 0.451 0.177 0.455
15 F 0.566 0.532 0.185
16 F 0.644 0.789 0.665
17 F 0.782 0.009 0.228
18 F 0.845 0.447 0.530
19 F 0.926 0.638 0.980

Properties
Energy relative to the lowest polymorph listed for this composition: 28.6 meV per atom
SG: No. 1
Energy relative to the elements: -2.8269 eV/atom

***

# 4
Material: RbMgCr3O8
Method: DFT, PBE with a Hubbard U
State: optimized geometry

Cell: 5.473 5.473 8.816 Å, 99.74 99.74 60.81°
Fractional positions:
1 Rb 0.000 0.000 0.000
2 Mg 0.231 0.231 0.730
3 Cr 0.093 0.093 0.446
4 Cr 0.486 0.486 0.642
5 Cr 0.711 0.711 0.259
6 O 0.305 0.305 0.526
7 O 0.318 0.856 0.625
8 O 0.368 0.862 0.288
9 O 0.431 0.431 0.828
10 O 0.727 0.727 0.077
11 O 0.856 0.318 0.625
12 O 0.862 0.368 0.288
13 O 0.875 0.875 0.371

Properties
Energy relative to the lowest polymorph listed for this composition: 0.0 meV per atom
SG: No. 8
Energy relative to the elements: -2.0015 eV/atom

***

# 5
Material: LiMo3P3O16
Method: DFT, PBE with a Hubbard U
State: optimized geometry

Cell: 6.466 7.931 12.710 Å, 79.64 77.88 81.02°
Fractional positions:
1 Li 0.081 0.350 0.319
2 Li 0.919 0.650 0.681
3 Mo 0.102 0.250 0.834
4 Mo 0.293 0.788 0.473
5 Mo 0.462 0.799 0.848
6 Mo 0.538 0.201 0.152
7 Mo 0.707 0.212 0.527
8 Mo 0.898 0.750 0.166
9 P 0.060 0.156 0.110
10 P 0.193 0.160 0.567
11 P 0.446 0.509 0.687
12 P 0.554 0.491 0.313
13 P 0.807 0.840 0.433
14 P 0.940 0.844 0.890
15 O 0.029 0.249 0.494
16 O 0.066 0.960 0.117
17 O 0.091 0.577 0.174
18 O 0.125 0.214 0.680
19 O 0.128 0.242 0.993
20 O 0.164 0.761 0.838
21 O 0.208 0.961 0.583
22 O 0.216 0.196 0.180
23 O 0.265 0.602 0.628
24 O 0.293 0.947 0.363
25 O 0.357 0.383 0.789
26 O 0.368 0.581 0.388
27 O 0.378 0.022 0.842
28 O 0.404 0.226 0.507
29 O 0.439 0.714 0.982
30 O 0.449 0.356 0.269
31 O 0.551 0.644 0.731
32 O 0.561 0.286 0.018
33 O 0.596 0.774 0.493
34 O 0.622 0.978 0.158
35 O 0.632 0.419 0.612
36 O 0.643 0.617 0.211
37 O 0.707 0.053 0.637
38 O 0.735 0.398 0.372
39 O 0.784 0.804 0.820
40 O 0.792 0.039 0.417
41 O 0.836 0.239 0.162
42 O 0.872 0.758 0.007
43 O 0.875 0.786 0.320
44 O 0.909 0.423 0.826
45 O 0.934 0.040 0.883
46 O 0.971 0.751 0.506

Properties
SG: No. 2
Energy relative to the elements: -2.3505 eV/atom

***

# 6
Material: MgFe6O9F3
Method: DFT, PBE with a Hubbard U
State: optimized geometry

Cell: 5.709 5.892 7.360 Å, 68.93 72.61 78.72°
Fractional positions:
1 Mg 0.000 0.000 0.000
2 Fe 0.010 0.515 0.499
3 Fe 0.064 0.474 0.992
4 Fe 0.285 0.891 0.652
5 Fe 0.358 0.856 0.188
6 Fe 0.634 0.201 0.799
7 Fe 0.712 0.161 0.333
8 O 0.006 0.162 0.695
9 O 0.099 0.625 0.696
10 O 0.254 0.738 0.951
11 O 0.305 0.180 0.981
12 O 0.452 0.972 0.363
13 O 0.570 0.081 0.614
14 O 0.773 0.284 0.046
15 O 0.926 0.390 0.297
16 O 0.996 0.863 0.305
17 F 0.372 0.500 0.339
18 F 0.646 0.546 0.645
19 F 0.708 0.846 0.006

Properties
Energy relative to the lowest polymorph listed for this composition: 80.3 meV per atom
SG: No. 1
Energy relative to the elements: -1.8095 eV/atom

***

- Among the records above, which one has the highest energy relative to the elements?
  Cr2CuN4O8